Computed, not measured: crystalline LiCu2F5 at its relaxed geometry at the GGA-PBE level of DFT.

abc: 3.8734 10.4477 9.8894
angles: 90.00 90.00 90.00
Closest atoms and distances in Å follow each position.
Space group Cmcm (No. 63)
Symmetry-distinct sites (fractional):
1 Li 0.0000 0.1950 0.2500 x4  4 F 1.94-2.13
2 Cu 0.0000 0.1339 0.5691 x8  5 F 1.91-2.12
3 F 0.0000 0.0650 0.1103 x8  2 Cu 1.91-2.12, 1 Li 1.94
4 F 0.0000 0.2193 0.7500 x4  2 Cu 2.00, 2 Li 2.13
5 F 0.0000 0.3252 0.0692 x8  2 Cu 1.98

Computed properties:
Volume in Å³ per cell: 400
Total magnetization in μB per cell: 8.0
Distance to the lowest polymorph of the same formula in meV/atom: 0
VASP energy in eV per atom: -4.29
Calculated density in g/cm3: 3.801
Energy of formation from the pure elements in meV per atom: -2114.1
Crystal system: orthorhombic